No. 1
# TmCuGe PBE-GGA optimized geometry
# **M_tot**: 0.0 μB/cell
# **Formation enthalpy at 0 K**: -0.63 eV per atom
data_TmCuGe
_chemical_formula_sum 'Tm1 Cu1 Ge1'
_cell_length_a 4.206
_cell_length_b 4.206
_cell_length_c 3.612
_cell_angle_alpha 90.00
_cell_angle_beta 90.00
_cell_angle_gamma 120.00
_space_group_name_H-M_alt 'P 1'
_space_group_IT_number 1
loop_
_space_group_symop_operation_xyz
'x,y,z'
loop_
_atom_site_label
_atom_site_fract_x
_atom_site_fract_y
_atom_site_fract_z
_atom_site_occupancy
Tm1 0.000 0.000 0.000 1
Cu1 0.333 0.667 0.500 1
Ge1 0.667 0.333 0.500 1


No. 2
# MgMoW2Se4S2 PBE-GGA optimized geometry
# **Energy above the most stable polymorph in this dataset**: 0.000 eV per formula unit
# **M_tot**: 0.0 μB/cell
# **Formation enthalpy at 0 K**: -0.67 eV per atom
data_MgMoW2Se4S2
_chemical_formula_sum 'Mg1 Mo1 W2 Se4 S2'
_cell_length_a 3.280
_cell_length_b 3.280
_cell_length_c 37.535
_cell_angle_alpha 91.53
_cell_angle_beta 91.53
_cell_angle_gamma 59.98
_space_group_name_H-M_alt 'P 1'
_space_group_IT_number 1
loop_
_space_group_symop_operation_xyz
'x,y,z'
loop_
_atom_site_label
_atom_site_fract_x
_atom_site_fract_y
_atom_site_fract_z
_atom_site_occupancy
Mg1 0.000 0.000 0.000 1
Mo1 0.666 0.666 0.877 1
W1 0.989 0.989 0.125 1
W2 0.998 0.998 0.652 1
Se1 0.009 0.009 0.922 1
Se2 0.656 0.656 0.606 1
Se3 0.674 0.674 0.697 1
Se4 0.990 0.990 0.832 1
S1 0.648 0.648 0.084 1
S2 0.664 0.664 0.166 1


No. 3
# Ca3Ga3Rh2 PBE-GGA optimized geometry
# **Formation enthalpy at 0 K**: -0.64 eV per atom
data_Ca3Ga3Rh2
_chemical_formula_sum 'Ca12 Ga12 Rh8'
_cell_length_a 8.122
_cell_length_b 14.996
_cell_length_c 5.844
_cell_angle_alpha 90.00
_cell_angle_beta 90.00
_cell_angle_gamma 90.00
_space_group_name_H-M_alt 'P 1'
_space_group_IT_number 1
loop_
_space_group_symop_operation_xyz
'x,y,z'
loop_
_atom_site_label
_atom_site_fract_x
_atom_site_fract_y
_atom_site_fract_z
_atom_site_occupancy
Ca1 0.046 0.109 0.114 1
Ca2 0.046 0.391 0.114 1
Ca3 0.197 0.250 0.618 1
Ca4 0.303 0.750 0.118 1
Ca5 0.454 0.609 0.614 1
Ca6 0.454 0.891 0.614 1
Ca7 0.546 0.109 0.386 1
Ca8 0.546 0.391 0.386 1
Ca9 0.697 0.250 0.882 1
Ca10 0.803 0.750 0.382 1
Ca11 0.954 0.609 0.886 1
Ca12 0.954 0.891 0.886 1
Ga1 0.147 0.750 0.581 1
Ga2 0.181 0.040 0.623 1
Ga3 0.181 0.460 0.623 1
Ga4 0.319 0.540 0.123 1
Ga5 0.319 0.960 0.123 1
Ga6 0.353 0.250 0.081 1
Ga7 0.647 0.750 0.919 1
Ga8 0.681 0.040 0.877 1
Ga9 0.681 0.460 0.877 1
Ga10 0.819 0.540 0.377 1
Ga11 0.819 0.960 0.377 1
Ga12 0.853 0.250 0.419 1
Rh1 0.109 0.597 0.395 1
Rh2 0.109 0.903 0.395 1
Rh3 0.391 0.097 0.895 1
Rh4 0.391 0.403 0.895 1
Rh5 0.609 0.597 0.105 1
Rh6 0.609 0.903 0.105 1
Rh7 0.891 0.097 0.605 1
Rh8 0.891 0.403 0.605 1


No. 4
# BaBrCl PBE-GGA optimized geometry
# **Energy above the most stable polymorph in this dataset**: 0.062 eV per formula unit
# **M_tot**: 0.0 μB/cell
# **Formation enthalpy at 0 K**: -2.59 eV per atom
data_BaBrCl
_chemical_formula_sum 'Ba1 Br1 Cl1'
_cell_length_a 5.388
_cell_length_b 5.388
_cell_length_c 5.388
_cell_angle_alpha 60.00
_cell_angle_beta 60.00
_cell_angle_gamma 60.00
_space_group_name_H-M_alt 'P 1'
_space_group_IT_number 1
loop_
_space_group_symop_operation_xyz
'x,y,z'
loop_
_atom_site_label
_atom_site_fract_x
_atom_site_fract_y
_atom_site_fract_z
_atom_site_occupancy
Ba1 0.000 0.000 0.000 1
Br1 0.250 0.250 0.250 1
Cl1 0.750 0.750 0.750 1


No. 5
# HoH12C2O4F PBE-GGA optimized geometry
# **M_tot**: 4.0 μB/cell
# **Formation enthalpy at 0 K**: -0.74 eV per atom
data_HoH12C2O4F
_chemical_formula_sum 'Ho2 H24 C4 O8 F2'
_cell_length_a 8.457
_cell_length_b 8.457
_cell_length_c 8.392
_cell_angle_alpha 118.07
_cell_angle_beta 118.07
_cell_angle_gamma 85.22
_space_group_name_H-M_alt 'P 1'
_space_group_IT_number 1
loop_
_space_group_symop_operation_xyz
'x,y,z'
loop_
_atom_site_label
_atom_site_fract_x
_atom_site_fract_y
_atom_site_fract_z
_atom_site_occupancy
Ho1 0.081 0.919 0.750 1
Ho2 0.919 0.081 0.250 1
H1 0.053 0.254 0.793 1
H2 0.091 0.282 0.908 1
H3 0.205 0.361 0.152 1
H4 0.254 0.053 0.293 1
H5 0.282 0.091 0.408 1
H6 0.317 0.528 0.436 1
H7 0.320 0.627 0.505 1
H8 0.361 0.205 0.652 1
H9 0.373 0.549 0.219 1
H10 0.373 0.680 0.995 1
H11 0.451 0.627 0.281 1
H12 0.472 0.683 0.064 1
H13 0.528 0.317 0.936 1
H14 0.549 0.373 0.719 1
H15 0.627 0.320 0.005 1
H16 0.627 0.451 0.781 1
H17 0.639 0.795 0.348 1
H18 0.680 0.373 0.495 1
H19 0.683 0.472 0.564 1
H20 0.718 0.909 0.592 1
H21 0.746 0.947 0.707 1
H22 0.795 0.639 0.848 1
H23 0.909 0.718 0.092 1
H24 0.947 0.746 0.207 1
C1 0.048 0.499 0.602 1
C2 0.499 0.048 0.102 1
C3 0.501 0.952 0.898 1
C4 0.952 0.501 0.398 1
O1 0.068 0.344 0.588 1
O2 0.099 0.653 0.765 1
O3 0.344 0.068 0.088 1
O4 0.347 0.901 0.735 1
O5 0.653 0.099 0.265 1
O6 0.656 0.932 0.912 1
O7 0.901 0.347 0.235 1
O8 0.932 0.656 0.412 1
F1 0.000 0.000 0.000 1
F2 0.000 0.000 0.500 1


No. 6
# HPb2IO2 PBE-GGA optimized geometry
# **M_tot**: 0.0 μB/cell
# **Formation enthalpy at 0 K**: -1.19 eV per atom
data_HPb2IO2
_chemical_formula_sum 'H2 Pb4 I2 O4'
_cell_length_a 8.154
_cell_length_b 8.154
_cell_length_c 9.970
_cell_angle_alpha 108.34
_cell_angle_beta 108.34
_cell_angle_gamma 30.45
_space_group_name_H-M_alt 'P 1'
_space_group_IT_number 1
loop_
_space_group_symop_operation_xyz
'x,y,z'
loop_
_atom_site_label
_atom_site_fract_x
_atom_site_fract_y
_atom_site_fract_z
_atom_site_occupancy
H1 0.192 0.192 0.360 1
H2 0.808 0.808 0.640 1
Pb1 0.166 0.166 0.050 1
Pb2 0.175 0.175 0.653 1
Pb3 0.825 0.825 0.347 1
Pb4 0.834 0.834 0.950 1
I1 0.011 0.011 0.271 1
I2 0.989 0.989 0.729 1
O1 0.248 0.248 0.334 1
O2 0.251 0.251 0.892 1
O3 0.749 0.749 0.108 1
O4 0.752 0.752 0.666 1


No. 7
# ZrAlFe PBE-GGA optimized geometry
# **M_tot**: 3.5 μB/cell
# **Formation enthalpy at 0 K**: -0.41 eV per atom
data_ZrAlFe
_chemical_formula_sum 'Zr4 Al4 Fe4'
_cell_length_a 5.125
_cell_length_b 8.321
_cell_length_c 5.131
_cell_angle_alpha 90.00
_cell_angle_beta 119.11
_cell_angle_gamma 90.00
_space_group_name_H-M_alt 'P 1'
_space_group_IT_number 1
loop_
_space_group_symop_operation_xyz
'x,y,z'
loop_
_atom_site_label
_atom_site_fract_x
_atom_site_fract_y
_atom_site_fract_z
_atom_site_occupancy
Zr1 0.000 0.176 0.000 1
Zr2 0.000 0.824 0.000 1
Zr3 0.664 0.299 0.336 1
Zr4 0.664 0.701 0.336 1
Al1 0.164 0.500 0.327 1
Al2 0.326 0.235 0.677 1
Al3 0.326 0.765 0.677 1
Al4 0.673 0.500 0.838 1
Fe1 0.162 0.500 0.836 1
Fe2 0.503 0.000 0.502 1
Fe3 0.506 0.000 0.030 1
Fe4 0.971 0.000 0.497 1


No. 8
# CsAuF4 PBE-GGA optimized geometry
# **Formation enthalpy at 0 K**: -2.06 eV per atom
data_CsAuF4
_chemical_formula_sum 'Cs2 Au2 F8'
_cell_length_a 7.762
_cell_length_b 7.762
_cell_length_c 7.762
_cell_angle_alpha 137.09
_cell_angle_beta 127.19
_cell_angle_gamma 70.32
_space_group_name_H-M_alt 'P 1'
_space_group_IT_number 1
loop_
_space_group_symop_operation_xyz
'x,y,z'
loop_
_atom_site_label
_atom_site_fract_x
_atom_site_fract_y
_atom_site_fract_z
_atom_site_occupancy
Cs1 0.221 0.221 0.000 1
Cs2 0.779 0.779 0.000 1
Au1 0.000 0.500 0.500 1
Au2 0.500 0.000 0.500 1
F1 0.083 0.387 0.696 1
F2 0.215 0.000 0.215 1
F3 0.308 0.613 0.696 1
F4 0.345 0.845 0.500 1
F5 0.655 0.155 0.500 1
F6 0.692 0.387 0.304 1
F7 0.785 0.000 0.785 1
F8 0.917 0.613 0.304 1


No. 9
# Tm2MnC4 PBE-GGA optimized geometry
# **M_tot**: 1.8 μB/cell
# **Formation enthalpy at 0 K**: -0.29 eV per atom
data_Tm2MnC4
_chemical_formula_sum 'Tm4 Mn2 C8'
_cell_length_a 6.507
_cell_length_b 6.507
_cell_length_c 6.507
_cell_angle_alpha 109.26
_cell_angle_beta 87.93
_cell_angle_gamma 134.93
_space_group_name_H-M_alt 'P 1'
_space_group_IT_number 1
loop_
_space_group_symop_operation_xyz
'x,y,z'
loop_
_atom_site_label
_atom_site_fract_x
_atom_site_fract_y
_atom_site_fract_z
_atom_site_occupancy
Tm1 0.146 0.154 0.299 1
Tm2 0.354 0.654 0.008 1
Tm3 0.646 0.346 0.992 1
Tm4 0.854 0.846 0.701 1
Mn1 0.250 0.750 0.500 1
Mn2 0.750 0.250 0.500 1
C1 0.079 0.673 0.752 1
C2 0.130 0.844 0.974 1
C3 0.370 0.344 0.714 1
C4 0.421 0.173 0.593 1
C5 0.579 0.827 0.407 1
C6 0.630 0.656 0.286 1
C7 0.870 0.156 0.026 1
C8 0.921 0.327 0.248 1